Density functional theory data (PBE) for a geometry-optimized MgSb2H24O18 structure.

abc: 16.238 16.238 9.933
angles: 90.00 90.00 120.00
Fractional coordinates of all 270 atoms:
Mg 0.006 0.324 0.000
Mg 0.318 0.994 0.000
Mg 0.345 0.340 0.999
Mg 0.660 0.005 0.999
Mg 0.676 0.682 0.000
Mg 0.995 0.655 0.999
Sb 0.000 0.000 0.461
Sb 0.000 0.000 0.952
Sb 0.001 0.670 0.498
Sb 0.330 0.331 0.498
Sb 0.333 0.667 0.040
Sb 0.333 0.667 0.532
Sb 0.339 0.001 0.503
Sb 0.662 0.661 0.503
Sb 0.667 0.333 0.050
Sb 0.667 0.333 0.542
Sb 0.669 0.999 0.498
Sb 0.999 0.338 0.503
H 0.004 0.096 0.751
H 0.007 0.435 0.791
H 0.016 0.824 0.948
H 0.022 0.879 0.592
H 0.035 0.818 0.367
H 0.044 0.189 0.113
H 0.056 0.227 0.589
H 0.092 0.996 0.751
H 0.097 0.324 0.780
H 0.097 0.755 0.213
H 0.103 0.670 0.782
H 0.105 0.096 0.150
H 0.105 0.609 0.399
H 0.109 0.434 0.208
H 0.118 0.489 0.625
H 0.121 0.143 0.592
H 0.139 0.623 0.893
H 0.146 0.491 0.069
H 0.146 0.956 0.113
H 0.149 0.373 0.385
H 0.152 0.794 0.608
H 0.159 0.318 0.897
H 0.159 0.841 0.897
H 0.162 0.724 0.131
H 0.165 0.058 0.371
H 0.171 0.944 0.589
H 0.176 0.193 0.948
H 0.182 0.217 0.367
H 0.190 0.547 0.403
H 0.206 0.358 0.608
H 0.224 0.851 0.385
H 0.226 0.903 0.780
H 0.228 0.226 0.803
H 0.229 0.066 0.865
H 0.230 0.727 0.628
H 0.231 0.006 0.224
H 0.234 0.566 0.842
H 0.239 0.664 0.242
H 0.245 0.342 0.213
H 0.273 0.502 0.628
H 0.276 0.438 0.131
H 0.292 0.180 0.618
H 0.312 0.125 0.391
H 0.324 0.891 0.208
H 0.328 0.099 0.790
H 0.330 0.433 0.782
H 0.331 0.766 0.842
H 0.336 0.575 0.242
H 0.339 0.181 0.097
H 0.343 0.242 0.220
H 0.344 0.854 0.069
H 0.357 0.810 0.403
H 0.371 0.882 0.625
H 0.377 0.516 0.893
H 0.391 0.496 0.399
H 0.425 0.761 0.242
H 0.428 0.993 0.791
H 0.434 0.669 0.842
H 0.439 0.340 0.778
H 0.440 0.107 0.198
H 0.442 0.275 0.412
H 0.450 0.150 0.635
H 0.450 0.447 0.197
H 0.453 0.643 0.403
H 0.470 0.160 0.056
H 0.474 0.291 0.891
H 0.474 0.455 0.620
H 0.483 0.013 0.930
H 0.484 0.861 0.893
H 0.494 0.040 0.391
H 0.498 0.770 0.628
H 0.504 0.895 0.399
H 0.509 0.656 0.069
H 0.510 0.404 0.129
H 0.511 0.629 0.625
H 0.525 0.211 0.411
H 0.530 0.517 0.930
H 0.545 0.019 0.620
H 0.547 0.506 0.391
H 0.553 0.003 0.197
H 0.559 0.391 0.634
H 0.562 0.838 0.131
H 0.565 0.572 0.791
H 0.566 0.676 0.208
H 0.567 0.897 0.782
H 0.568 0.229 0.852
H 0.571 0.330 0.251
H 0.596 0.106 0.129
H 0.609 0.168 0.634
H 0.627 0.776 0.385
H 0.642 0.848 0.608
H 0.658 0.903 0.213
H 0.660 0.099 0.778
H 0.661 0.432 0.852
H 0.667 0.560 0.198
H 0.670 0.241 0.251
H 0.676 0.774 0.780
H 0.682 0.841 0.897
H 0.686 0.475 0.411
H 0.691 0.530 0.056
H 0.700 0.550 0.635
H 0.709 0.183 0.891
H 0.725 0.167 0.412
H 0.758 0.101 0.220
H 0.759 0.429 0.251
H 0.771 0.339 0.852
H 0.771 0.672 0.790
H 0.773 0.829 0.589
H 0.774 0.002 0.803
H 0.775 0.769 0.224
H 0.783 0.965 0.367
H 0.789 0.314 0.411
H 0.807 0.984 0.948
H 0.811 0.854 0.113
H 0.812 0.688 0.391
H 0.817 0.526 0.891
H 0.819 0.159 0.097
H 0.820 0.111 0.618
H 0.832 0.441 0.634
H 0.833 0.558 0.412
H 0.837 0.771 0.865
H 0.840 0.309 0.056
H 0.841 0.661 0.097
H 0.850 0.300 0.635
H 0.857 0.978 0.592
H 0.875 0.188 0.391
H 0.889 0.708 0.618
H 0.893 0.333 0.198
H 0.893 0.835 0.371
H 0.894 0.490 0.129
H 0.899 0.657 0.220
H 0.901 0.229 0.790
H 0.901 0.561 0.778
H 0.904 0.009 0.150
H 0.904 0.908 0.751
H 0.934 0.163 0.865
H 0.942 0.107 0.371
H 0.960 0.453 0.391
H 0.981 0.526 0.620
H 0.987 0.470 0.930
H 0.991 0.895 0.150
H 0.994 0.225 0.224
H 0.997 0.550 0.197
H 0.998 0.772 0.803
O 0.020 0.234 0.132
O 0.028 0.779 0.892
O 0.029 0.914 0.066
O 0.038 0.593 0.380
O 0.047 0.454 0.622
O 0.051 0.116 0.584
O 0.065 0.949 0.584
O 0.070 0.783 0.375
O 0.075 0.294 0.611
O 0.086 0.115 0.066
O 0.087 0.637 0.869
O 0.090 0.441 0.117
O 0.109 0.737 0.122
O 0.113 0.029 0.839
O 0.114 0.408 0.382
O 0.115 0.074 0.346
O 0.118 0.345 0.874
O 0.121 0.723 0.611
O 0.214 0.980 0.132
O 0.217 0.287 0.375
O 0.217 0.585 0.927
O 0.217 0.616 0.410
O 0.220 0.925 0.611
O 0.221 0.248 0.892
O 0.227 0.882 0.874
O 0.249 0.696 0.153
O 0.256 0.552 0.648
O 0.258 0.216 0.620
O 0.263 0.371 0.122
O 0.273 0.054 0.389
O 0.277 0.397 0.611
O 0.294 0.886 0.382
O 0.296 0.744 0.648
O 0.298 0.086 0.880
O 0.304 0.553 0.153
O 0.320 0.226 0.126
O 0.351 0.910 0.117
O 0.363 0.450 0.869
O 0.368 0.783 0.927
O 0.374 0.256 0.391
O 0.380 0.114 0.627
O 0.384 0.601 0.410
O 0.399 0.783 0.410
O 0.407 0.445 0.380
O 0.407 0.953 0.622
O 0.415 0.116 0.112
O 0.415 0.632 0.927
O 0.430 0.315 0.872
O 0.436 0.022 0.881
O 0.446 0.385 0.619
O 0.447 0.751 0.153
O 0.448 0.704 0.648
O 0.457 0.075 0.390
O 0.466 0.430 0.109
O 0.546 0.593 0.622
O 0.550 0.913 0.869
O 0.551 0.250 0.936
O 0.551 0.281 0.419
O 0.555 0.962 0.380
O 0.559 0.649 0.117
O 0.570 0.036 0.109
O 0.583 0.364 0.163
O 0.586 0.564 0.881
O 0.592 0.706 0.382
O 0.593 0.218 0.658
O 0.603 0.879 0.611
O 0.615 0.061 0.619
O 0.617 0.543 0.390
O 0.625 0.407 0.658
O 0.629 0.891 0.122
O 0.636 0.220 0.163
O 0.655 0.773 0.874
O 0.685 0.114 0.872
O 0.699 0.449 0.936
O 0.702 0.585 0.112
O 0.706 0.780 0.611
O 0.713 0.930 0.375
O 0.719 0.270 0.419
O 0.730 0.449 0.419
O 0.734 0.620 0.627
O 0.744 0.118 0.391
O 0.750 0.301 0.936
O 0.752 0.972 0.892
O 0.766 0.786 0.132
O 0.774 0.094 0.126
O 0.780 0.417 0.163
O 0.781 0.727 0.389
O 0.782 0.375 0.658
O 0.784 0.041 0.620
O 0.789 0.702 0.880
O 0.882 0.626 0.391
O 0.884 0.298 0.112
O 0.884 0.935 0.584
O 0.885 0.971 0.066
O 0.886 0.266 0.627
O 0.886 0.570 0.872
O 0.906 0.680 0.126
O 0.914 0.211 0.880
O 0.915 0.887 0.839
O 0.925 0.383 0.390
O 0.926 0.041 0.346
O 0.939 0.554 0.619
O 0.946 0.219 0.389
O 0.959 0.742 0.620
O 0.959 0.885 0.346
O 0.964 0.534 0.109
O 0.971 0.085 0.839
O 0.978 0.414 0.881


Density functional theory data (PBE) for a geometry-optimized MgH14SeO11 structure.

abc: 6.883 12.268 12.353
angles: 90.00 90.00 90.00
Fractional coordinates of all 108 atoms:
Mg 0.209 0.145 0.334
Mg 0.291 0.855 0.834
Mg 0.709 0.355 0.666
Mg 0.791 0.645 0.166
H 0.000 0.499 0.293
H 0.000 0.999 0.207
H 0.002 0.933 0.708
H 0.027 0.691 0.836
H 0.051 0.200 0.138
H 0.051 0.478 0.171
H 0.054 0.473 0.673
H 0.080 0.719 0.030
H 0.121 0.944 0.016
H 0.145 0.751 0.151
H 0.151 0.029 0.516
H 0.204 0.230 0.810
H 0.225 0.644 0.887
H 0.230 0.279 0.157
H 0.249 0.886 0.264
H 0.251 0.114 0.764
H 0.270 0.721 0.657
H 0.275 0.356 0.387
H 0.296 0.770 0.310
H 0.349 0.971 0.016
H 0.355 0.249 0.651
H 0.379 0.056 0.516
H 0.420 0.281 0.530
H 0.446 0.527 0.173
H 0.449 0.522 0.671
H 0.449 0.800 0.638
H 0.473 0.309 0.336
H 0.498 0.067 0.208
H 0.500 0.001 0.707
H 0.500 0.501 0.793
H 0.502 0.567 0.292
H 0.527 0.809 0.164
H 0.551 0.022 0.829
H 0.551 0.300 0.862
H 0.554 0.027 0.327
H 0.580 0.781 0.970
H 0.621 0.556 0.984
H 0.645 0.749 0.849
H 0.651 0.471 0.484
H 0.704 0.270 0.190
H 0.725 0.856 0.113
H 0.730 0.221 0.843
H 0.749 0.614 0.736
H 0.751 0.386 0.236
H 0.770 0.779 0.343
H 0.775 0.144 0.613
H 0.796 0.730 0.690
H 0.849 0.529 0.984
H 0.855 0.251 0.349
H 0.879 0.444 0.484
H 0.920 0.219 0.470
H 0.946 0.973 0.827
H 0.949 0.700 0.362
H 0.949 0.978 0.329
H 0.973 0.191 0.664
H 0.998 0.433 0.792
Se 0.246 0.573 0.469
Se 0.254 0.427 0.969
Se 0.746 0.927 0.531
Se 0.754 0.073 0.031
O 0.028 0.452 0.927
O 0.029 0.922 0.787
O 0.046 0.712 0.107
O 0.057 0.003 0.281
O 0.102 0.472 0.420
O 0.143 0.710 0.881
O 0.171 0.211 0.183
O 0.172 0.693 0.421
O 0.189 0.184 0.745
O 0.236 0.572 0.605
O 0.249 0.922 0.985
O 0.251 0.078 0.485
O 0.264 0.428 0.105
O 0.311 0.816 0.245
O 0.328 0.307 0.921
O 0.329 0.789 0.683
O 0.357 0.290 0.381
O 0.398 0.528 0.920
O 0.443 0.997 0.781
O 0.454 0.288 0.607
O 0.471 0.078 0.287
O 0.472 0.548 0.427
O 0.528 0.048 0.073
O 0.529 0.578 0.213
O 0.546 0.788 0.893
O 0.557 0.497 0.719
O 0.602 0.028 0.580
O 0.643 0.790 0.119
O 0.671 0.289 0.817
O 0.672 0.807 0.579
O 0.689 0.316 0.255
O 0.736 0.928 0.395
O 0.749 0.578 0.015
O 0.751 0.422 0.515
O 0.764 0.072 0.895
O 0.811 0.684 0.755
O 0.828 0.193 0.079
O 0.829 0.711 0.317
O 0.857 0.210 0.619
O 0.898 0.972 0.080
O 0.943 0.503 0.219
O 0.954 0.212 0.393
O 0.971 0.422 0.713
O 0.972 0.952 0.573


Density functional theory data (PBE) for a geometry-optimized MgH12SeO9 structure.

abc: 3.593 7.926 10.222
angles: 71.87 80.95 79.27
Fractional coordinates of all 23 atoms:
Mg 0.000 0.000 0.000
H 0.093 0.195 0.742
H 0.156 0.516 0.819
H 0.210 0.513 0.156
H 0.384 0.179 0.057
H 0.398 0.643 0.466
H 0.422 0.082 0.465
H 0.432 0.016 0.535
H 0.436 0.493 0.695
H 0.467 0.672 0.967
H 0.865 0.104 0.249
H 0.904 0.031 0.743
H 0.939 0.295 0.246
Se 0.738 0.691 0.250
O 0.109 0.064 0.778
O 0.113 0.499 0.257
O 0.170 0.486 0.732
O 0.238 0.610 0.979
O 0.461 0.100 0.998
O 0.674 0.624 0.441
O 0.842 0.230 0.194
O 0.906 0.746 0.996
O 0.985 0.863 0.224


Density functional theory data (PBE) for a geometry-optimized MgH12SeO9 structure.

piezoelectric modulus e_max	0.4	C/m2

abc: 5.999 5.999 5.999
angles: 96.87 96.87 96.87
Fractional coordinates of all 23 atoms:
Mg 0.000 0.000 0.000
H 0.050 0.967 0.457
H 0.192 0.623 0.823
H 0.267 0.869 0.367
H 0.367 0.267 0.869
H 0.457 0.050 0.967
H 0.589 0.724 0.931
H 0.623 0.823 0.192
H 0.724 0.931 0.589
H 0.823 0.192 0.623
H 0.869 0.367 0.267
H 0.931 0.589 0.724
H 0.967 0.457 0.050
Se 0.483 0.483 0.483
O 0.042 0.663 0.861
O 0.125 0.933 0.321
O 0.321 0.125 0.933
O 0.430 0.515 0.762
O 0.515 0.762 0.430
O 0.663 0.861 0.042
O 0.762 0.430 0.515
O 0.861 0.042 0.663
O 0.933 0.321 0.125


Ordered formation energy from the elements results: -1.441 -1.416 -1.171 -1.453; unit eV/atom.
Ordered volume results: 8.4 9.7 11.8 9.2; unit A^3/atom.